## Hg5Cl2O4 (GGA-PBE)

Data for Hg5Cl2O4 after structural relaxation.

Unit cell a=9.0208 b=9.0208 c=9.0208 alpha=139.53 beta=97.14 gamma=96.60
Fractional coordinates of all 22 atoms:
Hg 0.8610 0.7847 0.6457
Hg 0.6390 0.2847 0.9237
Hg 0.3610 0.7153 0.0763
Hg 0.1390 0.2153 0.3543
Hg 0.5909 0.2500 0.3409
Hg 0.9091 0.2500 0.6591
Hg 0.4091 0.7500 0.6591
Hg 0.0909 0.7500 0.3409
Hg 0.2500 0.2500 0.0000
Hg 0.7500 0.7500 0.0000
Cl 0.3911 0.2299 0.6211
Cl 0.1089 0.7299 0.8388
Cl 0.8911 0.2701 0.1612
Cl 0.6089 0.7701 0.3789
O 0.1783 0.5236 0.0534
O 0.3217 0.3752 0.3453
O 0.4701 0.1248 0.9466
O 0.0299 0.9764 0.6547
O 0.9701 0.0236 0.3453
O 0.5299 0.8752 0.0534
O 0.8217 0.4764 0.9466
O 0.6783 0.6248 0.6547

Space group = Ibam, No. 72
Energy relative to the elements = -0.643 eV/atom

## Eu5P3ClO12 (GGA-PBE)

Data for Eu5P3ClO12 after structural relaxation.

Unit cell a=9.9687 b=9.9687 c=7.2047 alpha=90.00 beta=90.00 gamma=120.00
Fractional coordinates of all 42 atoms:
Eu 0.3333 0.6667 0.9985
Eu 0.7459 0.7545 0.7500
Eu 0.2541 0.2455 0.2500
Eu 0.9913 0.7459 0.2500
Eu 0.7545 0.0087 0.2500
Eu 0.6667 0.3333 0.0015
Eu 0.2455 0.9913 0.7500
Eu 0.0087 0.2541 0.7500
Eu 0.3333 0.6667 0.5015
Eu 0.6667 0.3333 0.4985
P 0.3721 0.9646 0.2500
P 0.4074 0.3721 0.7500
P 0.0354 0.4074 0.2500
P 0.5926 0.6279 0.2500
P 0.6279 0.0354 0.7500
P 0.9646 0.5926 0.7500
Cl 0.0000 0.0000 0.0000
Cl 0.0000 0.0000 0.5000
O 0.2660 0.9085 0.4248
O 0.2660 0.9085 0.0752
O 0.1180 0.5881 0.2500
O 0.4787 0.1442 0.2500
O 0.6424 0.7340 0.0752
O 0.8558 0.3345 0.2500
O 0.1442 0.6655 0.7500
O 0.5881 0.4701 0.7500
O 0.7340 0.0915 0.9248
O 0.5299 0.1180 0.7500
O 0.4701 0.8820 0.2500
O 0.9085 0.6424 0.9248
O 0.3576 0.2660 0.9248
O 0.0915 0.3576 0.0752
O 0.5213 0.8558 0.7500
O 0.3576 0.2660 0.5752
O 0.4119 0.5299 0.2500
O 0.3345 0.4787 0.7500
O 0.7340 0.0915 0.5752
O 0.9085 0.6424 0.5752
O 0.6424 0.7340 0.4248
O 0.6655 0.5213 0.2500
O 0.8820 0.4119 0.7500
O 0.0915 0.3576 0.4248

Magnetization = 35.00 μB per formula unit
Space group = P6_3/m, No. 176
Energy relative to the elements = -3.228 eV/atom

## Ba2SmMgSbO6 (GGA-PBE)

Data for Ba2SmMgSbO6 after structural relaxation.

Unit cell a=6.3153 b=7.6088 c=6.3153 alpha=65.21 beta=59.98 gamma=65.21
Fractional coordinates of all 11 atoms:
Ba 0.8270 0.5109 0.8270
Ba 0.2794 0.1580 0.2794
Sm 0.0040 0.9857 0.0040
Mg 0.5920 0.2176 0.5920
Sb 0.4490 0.6534 0.4490
O 0.2509 0.8009 0.7078
O 0.2456 0.8157 0.2456
O 0.7656 0.2222 0.7656
O 0.2395 0.2246 0.7642
O 0.7642 0.2246 0.2395
O 0.7078 0.8009 0.2509

Magnetization = 0.00 μB per formula unit
Space group = Cm, No. 8
Energy relative to the elements = -2.767 eV/atom